Density functional theory data (GGA-PBE) for crystalline SmAl8Fe4 at its relaxed geometry.

Cell lengths 5.061, 6.695, 6.695 Å; angles 81.79, 67.79, 67.79 degrees
Sites, in units of the cell vectors:
Sm  0.000  0.000  0.000
Al  0.000  0.341  0.659
Al  0.000  0.659  0.341
Al  0.659  0.341  0.341
Al  0.341  0.659  0.659
Al  0.500  0.778  0.222
Al  0.500  0.222  0.778
Al  0.722  0.778  0.778
Al  0.278  0.222  0.222
Fe  0.000  0.000  0.500
Fe  0.500  0.000  0.500
Fe  0.500  0.500  0.000
Fe  0.000  0.500  0.000

Computed properties:
As for the energy relative to the elements: -416 meV/atom. Its space group is I4/mmm (139).